This record from the Materials Project database describes MgFe4As4S4 after structural relaxation. The functional is GGA-PBE.

Properties
As for the total energy after the MP2020 corrections: -5.84 eV/atom. The value obtained for the formation energy from the elements is -0.4048 eV/atom. The energy relative to the lowest polymorph listed for this composition comes out at 0.015 eV/atom. The total magnetic moment comes out at 0.00 μB per formula unit.

The structure in POSCAR format:
```
MgFe4As4S4
1.0
-4.956 1.412 -2.546
-0.515 4.751 3.616
3.012 1.637 -4.985
Mg Fe As S
1 4 4 4
direct
0.500 0.000 0.000
0.496 0.728 0.231
0.996 0.279 0.284
0.504 0.272 0.769
0.004 0.721 0.716
0.657 0.857 0.595
0.107 0.150 0.862
0.343 0.143 0.405
0.893 0.850 0.138
0.647 0.379 0.174
0.142 0.642 0.339
0.353 0.621 0.826
0.858 0.358 0.661
```